(1)
{
  "formula": "Tb3Ge13Ir4",
  "functional": "PBE",
  "state": "relaxed",
  "cell": [[-2.034, 0.638, -8.802], [-5.076, -7.474, 0.631], [-7.219, 5.075, 2.036]],
  "species": ["Tb", "Tb", "Tb", "Tb", "Tb", "Tb", "Ge", "Ge", "Ge", "Ge", "Ge", "Ge", "Ge", "Ge", "Ge", "Ge", "Ge", "Ge", "Ge", "Ge", "Ge", "Ge", "Ge", "Ge", "Ge", "Ge", "Ge", "Ge", "Ge", "Ge", "Ge", "Ge", "Ir", "Ir", "Ir", "Ir", "Ir", "Ir", "Ir", "Ir"],
  "fractional_positions": [[0.000, 0.500, 0.750], [0.500, 0.250, 0.000], [0.750, 0.000, 0.500], [0.000, 0.500, 0.250], [0.500, 0.750, 0.000], [0.250, 0.000, 0.500], [0.500, 0.500, 0.500], [0.000, 0.000, 0.000], [0.809, 0.354, 0.500], [0.646, 0.500, 0.809], [0.500, 0.191, 0.646], [0.191, 0.646, 0.500], [0.354, 0.500, 0.191], [0.500, 0.809, 0.354], [0.809, 0.646, 0.500], [0.646, 0.500, 0.191], [0.191, 0.354, 0.500], [0.354, 0.500, 0.809], [0.500, 0.809, 0.646], [0.500, 0.191, 0.354], [0.309, 0.000, 0.854], [0.146, 0.309, 0.000], [0.000, 0.146, 0.691], [0.691, 0.000, 0.146], [0.854, 0.691, 0.000], [0.000, 0.854, 0.309], [0.309, 0.000, 0.146], [0.146, 0.691, 0.000], [0.691, 0.000, 0.854], [0.854, 0.309, 0.000], [0.000, 0.146, 0.309], [0.000, 0.854, 0.691], [0.750, 0.250, 0.750], [0.250, 0.750, 0.250], [0.750, 0.750, 0.250], [0.250, 0.250, 0.750], [0.250, 0.750, 0.750], [0.750, 0.250, 0.250], [0.250, 0.250, 0.250], [0.750, 0.750, 0.750]],
  "dft_energy_ry_per_atom": -0.44014,
  "vol_a3_per_cell": 743,
  "rho_g_cm3": 9.8
}

---

(2)
{
  "formula": "PuNi2",
  "functional": "PBE",
  "state": "relaxed",
  "cell": [[0.311, 2.289, 4.298], [-2.872, -1.362, 3.703], [1.915, -2.299, 3.855]],
  "species": ["Pu", "Pu", "Ni", "Ni", "Ni", "Ni"],
  "fractional_positions": [[0.750, 0.750, 0.750], [0.500, 0.500, 0.500], [0.125, 0.625, 0.125], [0.125, 0.125, 0.625], [0.625, 0.125, 0.125], [0.125, 0.125, 0.125]],
  "dft_energy_ry_per_atom": -0.62020,
  "vol_a3_per_cell": 82,
  "rho_g_cm3": 14.6
}

---

(3)
{
  "formula": "AlFeN2",
  "functional": "PBE",
  "state": "relaxed",
  "cell": [[5.346, 0.000, 0.000], [0.000, 6.238, 0.000], [0.000, 0.000, 4.951]],
  "species": ["Al", "Al", "Al", "Al", "Fe", "Fe", "Fe", "Fe", "N", "N", "N", "N", "N", "N", "N", "N"],
  "fractional_positions": [[0.588, 0.377, 0.003], [0.412, 0.623, 0.503], [0.912, 0.877, 0.503], [0.088, 0.123, 0.003], [0.574, 0.874, 0.000], [0.426, 0.126, 0.500], [0.926, 0.374, 0.500], [0.074, 0.626, 0.000], [0.590, 0.376, 0.391], [0.410, 0.624, 0.891], [0.910, 0.876, 0.891], [0.090, 0.124, 0.391], [0.580, 0.871, 0.377], [0.420, 0.129, 0.877], [0.920, 0.371, 0.877], [0.080, 0.629, 0.377]],
  "dft_energy_ry_per_atom": -0.56158,
  "vol_a3_per_cell": 165,
  "corrected_energy_ev_per_cell": -125.1,
  "rho_g_cm3": 4.5
}

---

Number 1: E_form -521 meV per atom. Number 2: E_form 171 meV per atom. Number 3: E_form -599 meV per atom.